1.
Here is a geometry-optimized K2Mo2O7 structure from the Materials Project database. Energies are from PBE with a Hubbard U.

```
K2Mo2O7
1.0
7.111 0.000 0.000
0.530 7.405 0.000
2.779 0.927 7.169
K Mo O
4 4 14
Direct
0.194 0.337 0.341
0.254 0.879 0.065
0.746 0.121 0.935
0.806 0.663 0.659
0.259 0.409 0.801
0.330 0.850 0.554
0.670 0.150 0.446
0.741 0.591 0.199
0.003 0.594 0.156
0.123 0.957 0.711
0.212 0.715 0.452
0.326 0.270 0.978
0.351 0.647 0.765
0.383 0.312 0.590
0.440 0.035 0.361
0.560 0.965 0.639
0.617 0.688 0.410
0.649 0.353 0.235
0.674 0.730 0.022
0.788 0.285 0.548
0.877 0.043 0.289
0.997 0.406 0.844
```

Results
calculated total energy	-6.45	eV per atom
energy relative to the elements	-2144	meV per atom

=====

2.
Here is a geometry-optimized K3Mo10O30 structure from the Materials Project database. Energies are from PBE with a Hubbard U.

```
K3Mo10O30
1.0
9.504 -3.848 0.000
9.504 3.848 0.000
-4.984 0.000 8.937
K Mo O
3 10 30
Direct
0.000 0.000 0.000
0.316 0.316 0.772
0.684 0.684 0.228
0.111 0.610 0.155
0.167 0.677 0.541
0.277 0.277 0.328
0.323 0.833 0.459
0.390 0.889 0.845
0.610 0.111 0.155
0.677 0.167 0.541
0.723 0.723 0.672
0.833 0.323 0.459
0.889 0.390 0.845
0.000 0.500 0.000
0.073 0.558 0.339
0.078 0.078 0.485
0.142 0.142 0.830
0.149 0.655 0.689
0.184 0.184 0.167
0.188 0.629 0.051
0.214 0.706 0.354
0.254 0.254 0.473
0.294 0.786 0.646
0.344 0.344 0.188
0.345 0.851 0.311
0.371 0.812 0.949
0.412 0.412 0.506
0.442 0.927 0.661
0.500 0.000 0.000
0.558 0.073 0.339
0.588 0.588 0.494
0.629 0.188 0.051
0.655 0.149 0.689
0.656 0.656 0.812
0.706 0.214 0.354
0.746 0.746 0.527
0.786 0.294 0.646
0.812 0.371 0.949
0.816 0.816 0.833
0.851 0.345 0.311
0.858 0.858 0.170
0.922 0.922 0.515
0.927 0.442 0.661
```

Results
calculated total energy	-6.84	eV per atom
relative energy among the computed polymorphs	0.000	eV per atom
energy relative to the elements	-2008	meV per atom

=====

3.
Here is a geometry-optimized K6Mo10O33 structure from the Materials Project database. Energies are from PBE with a Hubbard U.

```
K6Mo10O33
1.0
7.857 0.000 0.000
3.342 11.946 0.000
3.829 0.035 17.125
K Mo O
12 20 66
Direct
0.000 0.000 0.000
0.005 0.534 0.461
0.163 0.022 0.721
0.236 0.034 0.487
0.280 0.499 0.972
0.392 0.002 0.208
0.481 0.536 0.484
0.528 0.995 0.979
0.635 0.517 0.252
0.734 0.035 0.494
0.768 0.500 0.980
0.859 0.506 0.749
0.059 0.772 0.624
0.069 0.252 0.125
0.179 0.744 0.310
0.187 0.432 0.223
0.272 0.287 0.820
0.282 0.736 0.122
0.314 0.295 0.615
0.331 0.595 0.726
0.448 0.269 0.338
0.451 0.763 0.839
0.564 0.768 0.625
0.567 0.256 0.126
0.682 0.238 0.841
0.685 0.935 0.737
0.702 0.789 0.349
0.755 0.246 0.653
0.827 0.093 0.241
0.853 0.778 0.144
0.946 0.272 0.340
0.956 0.758 0.839
0.016 0.366 0.063
0.040 0.149 0.233
0.048 0.757 0.214
0.055 0.884 0.559
0.070 0.654 0.734
0.081 0.758 0.069
0.087 0.382 0.876
0.096 0.655 0.566
0.118 0.532 0.298
0.171 0.136 0.063
0.188 0.515 0.139
0.200 0.342 0.717
0.207 0.288 0.319
0.214 0.385 0.548
0.215 0.160 0.826
0.220 0.873 0.319
0.232 0.742 0.815
0.276 0.657 0.380
0.283 0.163 0.605
0.287 0.274 0.149
0.300 0.751 0.645
0.335 0.864 0.104
0.344 0.499 0.803
0.354 0.862 0.913
0.369 0.686 0.219
0.390 0.511 0.643
0.423 0.397 0.382
0.428 0.265 0.894
0.445 0.172 0.414
0.445 0.637 0.060
0.447 0.373 0.221
0.475 0.876 0.743
0.488 0.897 0.580
0.527 0.636 0.886
0.533 0.261 0.749
0.538 0.883 0.414
0.542 0.654 0.720
0.564 0.275 0.590
0.566 0.153 0.243
0.572 0.355 0.051
0.594 0.130 0.080
0.622 0.022 0.819
0.660 0.657 0.363
0.661 0.671 0.549
0.668 0.031 0.660
0.685 0.834 0.248
0.716 0.780 0.818
0.720 0.367 0.856
0.721 0.870 0.088
0.728 0.251 0.315
0.783 0.143 0.906
0.783 0.787 0.649
0.803 0.651 0.141
0.807 0.237 0.146
0.810 0.373 0.640
0.820 0.011 0.326
0.843 0.388 0.401
0.859 0.188 0.744
0.893 0.995 0.165
0.916 0.154 0.585
0.919 0.874 0.898
0.927 0.771 0.374
0.945 0.877 0.729
0.957 0.646 0.904
0.976 0.374 0.232
0.996 0.159 0.402
```

Results
calculated total energy	-6.64	eV per atom
energy relative to the elements	-2076	meV per atom

=====

4.
Here is a geometry-optimized KMo3O9 structure from the Materials Project database. Energies are from PBE with a Hubbard U.

```
KMo3O9
1.0
7.659 -3.907 0.000
7.659 3.907 0.000
-0.257 0.000 6.516
K Mo O
2 6 18
Direct
0.201 0.201 0.342
0.799 0.799 0.658
0.183 0.704 0.233
0.296 0.817 0.767
0.381 0.381 0.866
0.619 0.619 0.134
0.704 0.183 0.233
0.817 0.296 0.767
0.037 0.037 0.794
0.073 0.600 0.301
0.182 0.658 0.914
0.242 0.758 0.500
0.283 0.283 0.989
0.342 0.818 0.086
0.352 0.352 0.607
0.400 0.927 0.699
0.463 0.463 0.193
0.537 0.537 0.807
0.600 0.073 0.301
0.648 0.648 0.393
0.658 0.182 0.914
0.717 0.717 0.011
0.758 0.242 0.500
0.818 0.342 0.086
0.927 0.400 0.699
0.963 0.963 0.206
```

Results
calculated total energy	-6.80	eV per atom
energy relative to the elements	-2001	meV per atom

=====

5.
Here is a geometry-optimized K3Mo4P4O22 structure from the Materials Project database. Energies are from PBE with a Hubbard U.

```
K3Mo4P4O22
1.0
9.860 0.000 0.000
0.000 10.016 0.000
-7.840 0.000 9.810
K Mo P O
6 8 8 44
Direct
0.000 0.000 0.000
0.000 0.500 0.500
0.186 0.153 0.657
0.186 0.347 0.157
0.814 0.653 0.843
0.814 0.847 0.343
0.254 0.700 0.334
0.254 0.800 0.834
0.483 0.034 0.391
0.483 0.466 0.891
0.517 0.534 0.109
0.517 0.966 0.609
0.746 0.200 0.166
0.746 0.300 0.666
0.130 0.012 0.342
0.130 0.488 0.842
0.349 0.691 0.640
0.349 0.809 0.140
0.651 0.191 0.860
0.651 0.309 0.360
0.870 0.512 0.158
0.870 0.988 0.658
0.028 0.593 0.199
0.028 0.907 0.699
0.078 0.630 0.787
0.078 0.870 0.287
0.217 0.745 0.659
0.217 0.755 0.159
0.219 0.169 0.007
0.219 0.331 0.507
0.225 0.081 0.292
0.225 0.419 0.792
0.235 0.661 0.486
0.235 0.839 0.986
0.259 0.008 0.503
0.259 0.492 0.003
0.395 0.574 0.375
0.395 0.926 0.875
0.431 0.560 0.724
0.431 0.940 0.224
0.435 0.646 0.943
0.435 0.854 0.443
0.497 0.711 0.187
0.497 0.789 0.687
0.503 0.211 0.313
0.503 0.289 0.813
0.565 0.146 0.557
0.565 0.354 0.057
0.569 0.060 0.776
0.569 0.440 0.276
0.605 0.074 0.125
0.605 0.426 0.625
0.741 0.508 0.997
0.741 0.992 0.497
0.765 0.161 0.014
0.765 0.339 0.514
0.775 0.581 0.208
0.775 0.919 0.708
0.781 0.669 0.493
0.781 0.831 0.993
0.783 0.245 0.841
0.783 0.255 0.341
0.922 0.130 0.713
0.922 0.370 0.213
0.972 0.093 0.301
0.972 0.407 0.801
```

Results
calculated total energy	-6.68	eV per atom
energy relative to the elements	-2160	meV per atom

=====

6.
Here is a geometry-optimized KMo2P3O12 structure from the Materials Project database. Energies are from PBE with a Hubbard U.

```
KMo2P3O12
1.0
9.376 0.000 0.000
0.000 12.504 0.000
0.000 0.000 18.008
K Mo P O
8 16 24 96
Direct
0.159 0.250 0.079
0.167 0.250 0.599
0.333 0.750 0.099
0.341 0.750 0.579
0.659 0.250 0.421
0.667 0.250 0.901
0.833 0.750 0.401
0.841 0.750 0.921
0.027 0.100 0.375
0.027 0.400 0.375
0.029 0.101 0.878
0.029 0.399 0.878
0.471 0.601 0.378
0.471 0.899 0.378
0.473 0.600 0.875
0.473 0.900 0.875
0.527 0.100 0.125
0.527 0.400 0.125
0.529 0.101 0.622
0.529 0.399 0.622
0.971 0.601 0.122
0.971 0.899 0.122
0.973 0.600 0.625
0.973 0.900 0.625
0.130 0.631 0.802
0.130 0.869 0.802
0.140 0.630 0.294
0.140 0.870 0.294
0.247 0.001 0.515
0.247 0.499 0.515
0.253 0.501 0.015
0.253 0.999 0.015
0.360 0.130 0.794
0.360 0.370 0.794
0.370 0.131 0.302
0.370 0.369 0.302
0.630 0.631 0.698
0.630 0.869 0.698
0.640 0.630 0.206
0.640 0.870 0.206
0.747 0.001 0.985
0.747 0.499 0.985
0.753 0.501 0.485
0.753 0.999 0.485
0.860 0.130 0.706
0.860 0.370 0.706
0.870 0.131 0.198
0.870 0.369 0.198
0.015 0.250 0.394
0.023 0.250 0.895
0.040 0.562 0.855
0.040 0.938 0.855
0.046 0.562 0.346
0.046 0.938 0.346
0.080 0.750 0.829
0.092 0.750 0.320
0.095 0.620 0.720
0.095 0.880 0.720
0.110 0.619 0.211
0.110 0.881 0.211
0.143 0.073 0.471
0.143 0.427 0.471
0.152 0.580 0.057
0.152 0.920 0.057
0.166 0.569 0.572
0.166 0.931 0.572
0.167 0.079 0.968
0.167 0.421 0.968
0.200 0.119 0.806
0.200 0.381 0.806
0.210 0.123 0.313
0.210 0.377 0.313
0.290 0.623 0.813
0.290 0.877 0.813
0.300 0.619 0.306
0.300 0.881 0.306
0.333 0.579 0.468
0.333 0.921 0.468
0.334 0.069 0.072
0.334 0.431 0.072
0.348 0.080 0.557
0.348 0.420 0.557
0.357 0.573 0.971
0.357 0.927 0.971
0.390 0.119 0.711
0.390 0.381 0.711
0.405 0.120 0.220
0.405 0.380 0.220
0.408 0.250 0.820
0.420 0.250 0.329
0.454 0.062 0.846
0.454 0.438 0.846
0.460 0.062 0.355
0.460 0.438 0.355
0.477 0.750 0.395
0.485 0.750 0.894
0.515 0.250 0.106
0.523 0.250 0.605
0.540 0.562 0.645
0.540 0.938 0.645
0.546 0.562 0.154
0.546 0.938 0.154
0.580 0.750 0.671
0.592 0.750 0.180
0.595 0.620 0.780
0.595 0.880 0.780
0.610 0.619 0.289
0.610 0.881 0.289
0.643 0.073 0.029
0.643 0.427 0.029
0.652 0.580 0.443
0.652 0.920 0.443
0.666 0.569 0.928
0.666 0.931 0.928
0.667 0.079 0.532
0.667 0.421 0.532
0.700 0.119 0.694
0.700 0.381 0.694
0.710 0.123 0.187
0.710 0.377 0.187
0.790 0.623 0.687
0.790 0.877 0.687
0.800 0.619 0.194
0.800 0.881 0.194
0.833 0.579 0.032
0.833 0.921 0.032
0.834 0.069 0.428
0.834 0.431 0.428
0.848 0.080 0.943
0.848 0.420 0.943
0.857 0.573 0.529
0.857 0.927 0.529
0.890 0.119 0.789
0.890 0.381 0.789
0.905 0.120 0.280
0.905 0.380 0.280
0.908 0.250 0.680
0.920 0.250 0.171
0.954 0.062 0.654
0.954 0.438 0.654
0.960 0.062 0.145
0.960 0.438 0.145
0.977 0.750 0.105
0.985 0.750 0.606
```

Results
calculated total energy	-7.13	eV per atom
energy relative to the elements	-2480	meV per atom